# 1
{"formula": "Ni3BO5", "functional": "r²SCAN", "state": "optimized geometry", "e_form_mev_per_atom": -1595, "lattice_angstrom": [[2.939, 0.000, 0.000], [0.000, 9.044, 0.000], [0.000, 0.000, 12.155]], "species": ["Ni", "O", "O", "O", "Ni", "Ni", "O", "O", "O", "O", "B", "O", "O", "Ni", "B", "O", "O", "O", "O", "O", "O", "Ni", "B", "O", "B", "Ni", "O", "Ni", "Ni", "O", "O", "Ni", "O", "Ni", "Ni", "Ni"], "frac_coords": [[0.500, 0.499, 0.720], [0.000, 0.852, 0.459], [0.500, 0.390, 0.857], [0.500, 0.386, 0.420], [0.500, 0.500, 0.000], [0.000, 0.500, 0.500], [0.000, 0.353, 0.237], [0.000, 0.376, 0.641], [0.000, 0.647, 0.763], [0.500, 0.114, 0.920], [0.000, 0.224, 0.639], [0.000, 0.124, 0.141], [0.500, 0.110, 0.357], [0.500, 0.501, 0.280], [0.000, 0.776, 0.361], [0.000, 0.624, 0.359], [0.500, 0.610, 0.143], [0.000, 0.853, 0.263], [0.500, 0.890, 0.643], [0.000, 0.352, 0.041], [0.500, 0.614, 0.580], [0.500, 0.001, 0.220], [0.000, 0.276, 0.139], [0.000, 0.648, 0.959], [0.000, 0.724, 0.861], [0.000, 0.000, 0.000], [0.000, 0.148, 0.541], [0.000, 0.759, 0.614], [0.500, 0.999, 0.780], [0.500, 0.886, 0.080], [0.000, 0.876, 0.859], [0.000, 0.241, 0.386], [0.000, 0.147, 0.737], [0.000, 0.741, 0.114], [0.000, 0.259, 0.886], [0.500, 0.000, 0.500]]}


# 2
{"formula": "NiB2O4", "functional": "r²SCAN", "state": "optimized geometry", "e_form_mev_per_atom": -2182, "lattice_angstrom": [[4.259, 0.002, 1.196], [-3.460, 4.671, 6.741], [-0.790, -4.660, 2.824]], "species": ["B", "O", "O", "Ni", "O", "O", "O", "O", "Ni", "B", "O", "O", "O", "Ni", "O", "O", "B", "B", "B", "B", "Ni", "O", "O", "O", "O", "O", "B", "B"], "frac_coords": [[0.686, 0.816, 0.108], [0.891, 0.364, 0.592], [0.109, 0.136, 0.092], [0.750, 0.500, 0.850], [0.891, 0.864, 0.908], [0.337, 0.356, 0.851], [0.337, 0.856, 0.649], [0.837, 0.356, 0.149], [0.750, 0.000, 0.650], [0.186, 0.316, 0.608], [0.391, 0.364, 0.408], [0.109, 0.636, 0.408], [0.837, 0.856, 0.351], [0.250, 0.500, 0.150], [0.391, 0.864, 0.092], [0.609, 0.636, 0.592], [0.314, 0.684, 0.607], [0.186, 0.816, 0.892], [0.814, 0.684, 0.393], [0.814, 0.184, 0.107], [0.250, 0.000, 0.350], [0.609, 0.136, 0.908], [0.163, 0.144, 0.649], [0.663, 0.144, 0.351], [0.663, 0.644, 0.149], [0.163, 0.644, 0.851], [0.686, 0.316, 0.393], [0.314, 0.184, 0.893]]}